No. 1
Entry from Materials Project: a relaxed Li4MnF7 crystal (PBE+U).

CIF file:
```
data_Li4MnF7
_cell_length_a 8.4585
_cell_length_b 8.4585
_cell_length_c 8.4585
_cell_angle_alpha 90.00
_cell_angle_beta 90.00
_cell_angle_gamma 90.00
_space_group_name_H-M_alt 'F -4 3 m'
_space_group_IT_number 216
_space_group_name_Hall 'F -4 2 3'
loop_
_atom_site_label
_atom_site_type_symbol
_atom_site_fract_x
_atom_site_fract_y
_atom_site_fract_z
Li1 Li 0.1236 0.1236 0.3764
Mn1 Mn 0.2500 0.2500 0.7500
F1 F 0.0000 0.0000 0.5000
F2 F 0.0140 0.2500 0.7500
```


No. 2
Entry from Materials Project: a relaxed Li3MnF5 crystal (PBE+U).

CIF file:
```
data_Li3MnF5
_cell_length_a 10.6010
_cell_length_b 6.6239
_cell_length_c 6.7180
_cell_angle_alpha 90.00
_cell_angle_beta 90.00
_cell_angle_gamma 90.00
_space_group_name_H-M_alt 'P n m a'
_space_group_IT_number 62
_space_group_name_Hall '-P 2ac 2n'
loop_
_atom_site_label
_atom_site_type_symbol
_atom_site_fract_x
_atom_site_fract_y
_atom_site_fract_z
Li1 Li 0.0452 0.2500 0.2373
Li2 Li 0.1729 0.5392 0.7691
Mn1 Mn 0.0792 0.7500 0.2664
F1 F 0.0960 0.7500 0.9498
F2 F 0.0985 0.7500 0.5800
F3 F 0.1185 0.2500 0.7600
F4 F 0.1522 0.0347 0.2617
```


No. 3
Entry from Materials Project: a relaxed LiMnF3 crystal (PBE+U).

CIF file:
```
data_LiMnF3
_cell_length_a 5.9772
_cell_length_b 8.3382
_cell_length_c 5.1955
_cell_angle_alpha 90.00
_cell_angle_beta 90.00
_cell_angle_gamma 90.00
_space_group_name_H-M_alt 'P n m a'
_space_group_IT_number 62
_space_group_name_Hall '-P 2ac 2n'
loop_
_atom_site_label
_atom_site_type_symbol
_atom_site_fract_x
_atom_site_fract_y
_atom_site_fract_z
Li1 Li 0.1462 0.2500 0.0301
Mn1 Mn 0.0000 0.0000 0.5000
F1 F 0.0261 0.7500 0.6597
F2 F 0.1985 0.0723 0.8166
```


No. 4
Entry from Materials Project: a relaxed Li3MnF5 crystal (PBE+U).

CIF file:
```
data_Li3MnF5
_cell_length_a 5.1596
_cell_length_b 5.7667
_cell_length_c 7.8603
_cell_angle_alpha 96.06
_cell_angle_beta 108.01
_cell_angle_gamma 113.81
_space_group_name_H-M_alt 'P -1'
_space_group_IT_number 2
_space_group_name_Hall '-P 1'
loop_
_atom_site_label
_atom_site_type_symbol
_atom_site_fract_x
_atom_site_fract_y
_atom_site_fract_z
Li1 Li 0.0580 0.4401 0.1983
Li2 Li 0.3143 0.5425 0.5868
Li3 Li 0.3436 0.9688 0.2123
Mn1 Mn 0.0000 0.0000 0.5000
Mn2 Mn 0.5000 0.5000 0.0000
F1 F 0.0365 0.2900 0.9568
F2 F 0.1352 0.7190 0.4316
F3 F 0.2440 0.2585 0.3635
F4 F 0.3722 0.7296 0.8276
F5 F 0.4387 0.2527 0.7419
```


No. 5
Entry from Materials Project: a relaxed LiMnF3 crystal (PBE+U).

CIF file:
```
data_LiMnF3
_cell_length_a 6.5783
_cell_length_b 6.7634
_cell_length_c 8.9264
_cell_angle_alpha 90.57
_cell_angle_beta 107.66
_cell_angle_gamma 98.92
_space_group_name_H-M_alt 'P -1'
_space_group_IT_number 2
_space_group_name_Hall '-P 1'
loop_
_atom_site_label
_atom_site_type_symbol
_atom_site_fract_x
_atom_site_fract_y
_atom_site_fract_z
Li1 Li 0.0232 0.3976 0.3001
Li2 Li 0.2218 0.8038 0.0179
Li3 Li 0.3478 0.9390 0.7376
Mn1 Mn 0.2118 0.8619 0.4065
Mn2 Mn 0.2726 0.2996 0.9983
Mn3 Mn 0.4206 0.4272 0.6648
F1 F 0.0437 0.3356 0.1056
F2 F 0.0785 0.8096 0.5854
F3 F 0.1393 0.3803 0.7382
F4 F 0.1689 0.9150 0.1862
F5 F 0.2912 0.0254 0.9096
F6 F 0.2957 0.5477 0.4294
F7 F 0.4143 0.1187 0.5838
F8 F 0.4202 0.6191 0.0875
F9 F 0.4957 0.7211 0.7661
```


No. 6
Entry from Materials Project: a relaxed LiMnF3 crystal (PBE+U).

CIF file:
```
data_LiMnF3
_cell_length_a 5.4659
_cell_length_b 9.0360
_cell_length_c 10.0529
_cell_angle_alpha 90.00
_cell_angle_beta 90.00
_cell_angle_gamma 90.00
_space_group_name_H-M_alt 'P n a 21'
_space_group_IT_number 33
_space_group_name_Hall 'P 2c -2n'
loop_
_atom_site_label
_atom_site_type_symbol
_atom_site_fract_x
_atom_site_fract_y
_atom_site_fract_z
Li1 Li 0.1517 0.1724 0.0000
Li2 Li 0.1830 0.8346 0.2228
Mn1 Mn 0.1564 0.5226 0.0252
Mn2 Mn 0.1615 0.8567 0.7901
F1 F 0.0077 0.6677 0.1603
F2 F 0.0137 0.0016 0.6496
F3 F 0.0416 0.3185 0.1501
F4 F 0.1722 0.8436 0.4171
F5 F 0.1741 0.5079 0.4192
F6 F 0.1765 0.1746 0.3904
```

Values from the calculation:
Maximum piezoelectric response ... 0.27 C/m²


No. 7
Entry from Materials Project: a relaxed LiMnF3 crystal (PBE+U).

CIF file:
```
data_LiMnF3
_cell_length_a 5.4259
_cell_length_b 5.4259
_cell_length_c 10.4854
_cell_angle_alpha 90.00
_cell_angle_beta 90.00
_cell_angle_gamma 120.00
_space_group_name_H-M_alt 'P 63 2 2'
_space_group_IT_number 182
_space_group_name_Hall 'P 6c 2c'
loop_
_atom_site_label
_atom_site_type_symbol
_atom_site_fract_x
_atom_site_fract_y
_atom_site_fract_z
Li1 Li 0.3333 0.6667 0.0828
Mn1 Mn 0.0000 0.0000 0.2500
Mn2 Mn 0.3333 0.6667 0.7500
F1 F 0.0044 0.3367 0.6388
```


No. 8
Entry from Materials Project: a relaxed LiMn2F7 crystal (PBE+U).

CIF file:
```
data_LiMn2F7
_cell_length_a 8.2296
_cell_length_b 9.7164
_cell_length_c 13.0014
_cell_angle_alpha 93.14
_cell_angle_beta 103.00
_cell_angle_gamma 91.04
_space_group_name_H-M_alt 'P 1'
_space_group_IT_number 1
_space_group_name_Hall 'P 1'
loop_
_atom_site_label
_atom_site_type_symbol
_atom_site_fract_x
_atom_site_fract_y
_atom_site_fract_z
Li1 Li 0.0000 0.0000 0.0000
Li2 Li 0.0016 0.4974 0.0029
Li3 Li 0.0459 0.9893 0.6017
Li4 Li 0.0729 0.2668 0.4333
Li5 Li 0.0886 0.7534 0.4280
Li6 Li 0.4108 0.4711 0.5140
Li7 Li 0.6287 0.7231 0.8829
Li8 Li 0.6328 0.2281 0.8921
Mn1 Mn 0.2036 0.4871 0.2475
Mn2 Mn 0.2038 0.9865 0.2447
Mn3 Mn 0.2438 0.0047 0.8741
Mn4 Mn 0.2467 0.5042 0.8775
Mn5 Mn 0.3438 0.2588 0.6614
Mn6 Mn 0.3493 0.7600 0.6575
Mn7 Mn 0.4010 0.7274 0.0775
Mn8 Mn 0.4098 0.2251 0.0822
Mn9 Mn 0.6078 0.9824 0.3212
Mn10 Mn 0.6124 0.4813 0.3224
Mn11 Mn 0.7094 0.0061 0.7459
Mn12 Mn 0.7234 0.5029 0.7416
Mn13 Mn 0.8150 0.2504 0.5482
Mn14 Mn 0.8319 0.7412 0.5455
Mn15 Mn 0.8349 0.7267 0.1730
Mn16 Mn 0.8359 0.2250 0.1722
F1 F 0.0035 0.1383 0.2715
F2 F 0.0036 0.6383 0.2732
F3 F 0.0403 0.8800 0.1396
F4 F 0.0430 0.1624 0.5519
F5 F 0.0433 0.9162 0.8609
F6 F 0.0435 0.3794 0.1426
F7 F 0.0470 0.4158 0.8669
F8 F 0.0553 0.6629 0.5515
F9 F 0.1581 0.1375 0.9505
F10 F 0.1652 0.6370 0.9580
F11 F 0.1750 0.0945 0.7519
F12 F 0.1764 0.8775 0.3487
F13 F 0.1786 0.5986 0.7620
F14 F 0.1843 0.3797 0.3560
F15 F 0.2362 0.8959 0.5822
F16 F 0.2371 0.3938 0.5788
F17 F 0.2415 0.1025 0.1401
F18 F 0.2455 0.6016 0.1449
F19 F 0.3152 0.9002 0.9934
F20 F 0.3226 0.3995 0.9981
F21 F 0.3298 0.8652 0.7930
F22 F 0.3314 0.3650 0.7969
F23 F 0.3751 0.1667 0.5440
F24 F 0.3759 0.6632 0.5365
F25 F 0.3859 0.5800 0.3395
F26 F 0.3886 0.0791 0.3345
F27 F 0.4284 0.8619 0.2130
F28 F 0.4374 0.3625 0.2202
F29 F 0.4455 0.1115 0.9343
F30 F 0.4488 0.6118 0.9327
F31 F 0.4956 0.6404 0.7408
F32 F 0.4993 0.1441 0.7472
F33 F 0.5592 0.3880 0.6477
F34 F 0.5706 0.8759 0.6563
F35 F 0.5724 0.3876 0.4354
F36 F 0.5881 0.8758 0.4269
F37 F 0.6228 0.0962 0.2061
F38 F 0.6317 0.5900 0.2081
F39 F 0.6486 0.7916 0.0731
F40 F 0.6537 0.2951 0.0709
F41 F 0.6872 0.9082 0.8619
F42 F 0.6923 0.4084 0.8565
F43 F 0.7330 0.1325 0.4196
F44 F 0.7372 0.6107 0.6209
F45 F 0.7418 0.6268 0.4156
F46 F 0.7494 0.1053 0.6268
F47 F 0.7885 0.8592 0.2725
F48 F 0.7941 0.3549 0.2737
F49 F 0.8190 0.1415 0.8418
F50 F 0.8232 0.6426 0.8367
F51 F 0.8635 0.1085 0.0621
F52 F 0.8664 0.6098 0.0639
F53 F 0.8765 0.3650 0.6718
F54 F 0.8960 0.3780 0.4734
F55 F 0.8976 0.8650 0.6647
F56 F 0.9140 0.8763 0.4736
```


No. 9
Entry from Materials Project: a relaxed Li4MnF8 crystal (PBE+U).

CIF file:
```
data_Li4MnF8
_cell_length_a 5.7144
_cell_length_b 5.7144
_cell_length_c 8.7372
_cell_angle_alpha 90.00
_cell_angle_beta 90.00
_cell_angle_gamma 90.00
_space_group_name_H-M_alt 'I 4/m m m'
_space_group_IT_number 139
_space_group_name_Hall '-I 4 2'
loop_
_atom_site_label
_atom_site_type_symbol
_atom_site_fract_x
_atom_site_fract_y
_atom_site_fract_z
Li1 Li 0.2500 0.2500 0.2500
Mn1 Mn 0.0000 0.0000 0.0000
F1 F 0.0000 0.0000 0.2163
F2 F 0.0000 0.5000 0.2500
F3 F 0.2257 0.2257 0.0000
```


No. 10
Entry from Materials Project: a relaxed LiMnF5 crystal (PBE+U).

CIF file:
```
data_LiMnF5
_cell_length_a 7.2822
_cell_length_b 8.2107
_cell_length_c 9.2435
_cell_angle_alpha 98.45
_cell_angle_beta 95.65
_cell_angle_gamma 100.82
_space_group_name_H-M_alt 'P -1'
_space_group_IT_number 2
_space_group_name_Hall '-P 1'
loop_
_atom_site_label
_atom_site_type_symbol
_atom_site_fract_x
_atom_site_fract_y
_atom_site_fract_z
Li1 Li 0.1531 0.4122 0.2226
Li2 Li 0.2794 0.3253 0.8974
Li3 Li 0.2988 0.9227 0.6817
Mn1 Mn 0.1724 0.0036 0.2796
Mn2 Mn 0.3027 0.7107 0.9822
Mn3 Mn 0.3342 0.3778 0.5362
F1 F 0.0886 0.0300 0.7460
F2 F 0.1071 0.6491 0.8315
F3 F 0.1499 0.8252 0.1178
F4 F 0.1655 0.8650 0.4145
F5 F 0.1659 0.1793 0.4388
F6 F 0.1811 0.4886 0.4375
F7 F 0.1858 0.1670 0.1614
F8 F 0.2052 0.3668 0.6897
F9 F 0.2118 0.5067 0.0499
F10 F 0.3679 0.8951 0.9016
F11 F 0.4274 0.0479 0.3153
F12 F 0.4481 0.5937 0.8827
F13 F 0.4916 0.2575 0.6015
F14 F 0.4962 0.4150 0.3806
F15 F 0.4970 0.2273 0.8730
```


No. 11
Entry from Materials Project: a relaxed Li10Mn3F16 crystal (PBE+U).

CIF file:
```
data_Li10Mn3F16
_cell_length_a 6.0776
_cell_length_b 6.0776
_cell_length_c 28.9315
_cell_angle_alpha 90.00
_cell_angle_beta 90.00
_cell_angle_gamma 120.00
_space_group_name_H-M_alt 'R -3 m'
_space_group_IT_number 166
_space_group_name_Hall '-R 3 2"'
loop_
_atom_site_label
_atom_site_type_symbol
_atom_site_fract_x
_atom_site_fract_y
_atom_site_fract_z
Li1 Li 0.0000 0.0000 0.0000
Li2 Li 0.0000 0.5000 0.5000
Li3 Li 0.0060 0.5030 0.7491
Mn1 Mn 0.0000 0.0000 0.3083
Mn2 Mn 0.0000 0.0000 0.5000
F1 F 0.0000 0.0000 0.1276
F2 F 0.0000 0.0000 0.3796
F3 F 0.0048 0.5024 0.1255
F4 F 0.0342 0.5171 0.6227
```


No. 12
Entry from Materials Project: a relaxed LiMnF3 crystal (PBE+U).

CIF file:
```
data_LiMnF3
_cell_length_a 3.2425
_cell_length_b 7.5853
_cell_length_c 10.3524
_cell_angle_alpha 90.00
_cell_angle_beta 90.00
_cell_angle_gamma 90.00
_space_group_name_H-M_alt 'A m m 2'
_space_group_IT_number 38
_space_group_name_Hall 'A 2 -2'
loop_
_atom_site_label
_atom_site_type_symbol
_atom_site_fract_x
_atom_site_fract_y
_atom_site_fract_z
Li1 Li 0.0000 0.0000 0.0000
Li2 Li 0.0000 0.0000 0.4922
Mn1 Mn 0.5000 0.2482 0.7491
F1 F 0.0000 0.1778 0.1285
F2 F 0.0000 0.1795 0.8719
F3 F 0.5000 0.0000 0.3616
F4 F 0.5000 0.0000 0.6378
```

Values from the calculation:
Maximum piezoelectric response ... 0.42 C/m²


For reference, formation energy by record: -36.13, -27.14, -15.03, -27.44, -14.85, -15.09, -14.81, -27.66, -37.20, -18.43, -88.51, -14.85 eV per formula unit.
For reference, V by record: 12.61, 13.10, 12.95, 10.90, 12.44, 12.41, 13.37, 12.64, 10.97, 12.68, 10.64, 12.73 A^3/atom.